The following is a DFT calculation (GGA-PBE) of LiTi2P3O12 after structural relaxation.

Lattice parameters (Å, degrees): 8.6447 8.7035 12.0337 90.00 90.00 90.00
Fractional positions:
Li: 0.0384 0.9715 0.6796
Li: 0.0384 0.0285 0.3204
Li: 0.9616 0.4715 0.8204
Li: 0.9616 0.5285 0.1796
Ti: 0.4997 0.7151 0.1202
Ti: 0.4997 0.2849 0.8798
Ti: 0.5003 0.7849 0.6202
Ti: 0.5003 0.2151 0.3798
Ti: 0.9972 0.2889 0.6116
Ti: 0.9972 0.7111 0.3884
Ti: 0.0028 0.7889 0.8884
Ti: 0.0028 0.2111 0.1116
P: 0.7085 0.5000 0.5000
P: 0.2915 0.0000 0.0000
P: 0.2144 0.5000 0.0000
P: 0.7856 0.0000 0.5000
P: 0.6432 0.6418 0.8548
P: 0.6432 0.3582 0.1452
P: 0.3568 0.1418 0.6452
P: 0.3568 0.8582 0.3548
P: 0.1467 0.6421 0.6480
P: 0.1467 0.3579 0.3520
P: 0.8533 0.1421 0.8520
P: 0.8533 0.8579 0.1480
O: 0.6902 0.8943 0.5737
O: 0.6902 0.1057 0.4263
O: 0.6780 0.1520 0.8452
O: 0.6780 0.8480 0.1548
O: 0.6089 0.5990 0.5757
O: 0.6089 0.4010 0.4243
O: 0.5979 0.4736 0.8286
O: 0.5979 0.5264 0.1714
O: 0.5885 0.6862 0.9717
O: 0.5885 0.3138 0.0283
O: 0.5746 0.7547 0.7693
O: 0.5746 0.2453 0.2307
O: 0.4254 0.2547 0.7307
O: 0.4254 0.7453 0.2693
O: 0.4115 0.1862 0.5283
O: 0.4115 0.8138 0.4717
O: 0.4021 0.0264 0.3286
O: 0.4021 0.9736 0.6714
O: 0.3911 0.0990 0.9243
O: 0.3911 0.9010 0.0757
O: 0.3220 0.6520 0.6548
O: 0.3220 0.3480 0.3452
O: 0.3098 0.3943 0.9263
O: 0.3098 0.6057 0.0737
O: 0.1842 0.1030 0.0730
O: 0.1842 0.8970 0.9270
O: 0.1763 0.1508 0.6534
O: 0.1763 0.8492 0.3466
O: 0.1016 0.5913 0.9222
O: 0.1016 0.4087 0.0778
O: 0.0893 0.4790 0.6797
O: 0.0893 0.5210 0.3203
O: 0.0884 0.6821 0.5291
O: 0.0884 0.3179 0.4709
O: 0.0722 0.7615 0.7276
O: 0.0722 0.2385 0.2724
O: 0.9278 0.2615 0.7724
O: 0.9278 0.7385 0.2276
O: 0.9116 0.1821 0.9709
O: 0.9116 0.8179 0.0291
O: 0.9107 0.9790 0.8203
O: 0.9107 0.0210 0.1797
O: 0.8984 0.0913 0.5778
O: 0.8984 0.9087 0.4222
O: 0.8237 0.6508 0.8466
O: 0.8237 0.3492 0.1534
O: 0.8158 0.3970 0.5730
O: 0.8158 0.6030 0.4270

Results
Total magnetization, μB/cell: 0.00
Volume, Å³/atom: 12.58
Energy with MP2020 corrections, eV for the cell shown: -590.01
Distance to the lowest polymorph of the same formula, eV per atom: 0.0082
Space-group type: P2_12_12, No. 18
Electronic total energy, eV per atom: -7.74


The following is a DFT calculation (GGA-PBE) of LiTi2P3O11 after structural relaxation.

Lattice parameters (Å, degrees): 7.3419 7.3419 8.8603 69.69 69.69 73.53
Fractional positions:
Li: 0.5153 0.9869 0.2610
Li: 0.0131 0.4847 0.7390
Ti: 0.8898 0.3592 0.2060
Ti: 0.3592 0.8887 0.7073
Ti: 0.6408 0.1102 0.7940
Ti: 0.1113 0.6408 0.2927
P: 0.5485 0.6741 0.0370
P: 0.9541 0.0459 0.0000
P: 0.6764 0.5483 0.5358
P: 0.3259 0.4515 0.9630
P: 0.0453 0.9547 0.5000
P: 0.4517 0.3236 0.4642
O: 0.9918 0.8803 0.1571
O: 0.8795 0.9935 0.6564
O: 0.7546 0.6082 0.0619
O: 0.5373 0.8442 0.8744
O: 0.3887 0.7267 0.1883
O: 0.9599 0.2541 0.0031
O: 0.6082 0.7573 0.5553
O: 0.5090 0.4910 0.0000
O: 0.8463 0.5364 0.3733
O: 0.7301 0.3907 0.6873
O: 0.2533 0.9595 0.5047
O: 0.7459 0.0401 0.9969
O: 0.2733 0.6113 0.8117
O: 0.1558 0.4627 0.1256
O: 0.4938 0.5062 0.5000
O: 0.3918 0.2454 0.9381
O: 0.0405 0.7467 0.4953
O: 0.6093 0.2699 0.3127
O: 0.4636 0.1537 0.6267
O: 0.2427 0.3918 0.4447
O: 0.1197 0.0082 0.8429
O: 0.0065 0.1205 0.3436

Results
Total magnetization, μB/cell: 4.01
Volume, Å³/atom: 12.14
Energy with MP2020 corrections, eV for the cell shown: -273.84
Space-group type: C2, No. 5
Electronic total energy, eV per atom: -7.61


The following is a DFT calculation (GGA-PBE) of LiTi2P3O12 after structural relaxation.

Lattice parameters (Å, degrees): 8.6608 8.6608 8.6547 60.04 60.04 60.44
Fractional positions:
Li: 0.1918 0.3161 0.6893
Li: 0.6839 0.8082 0.3107
Ti: 0.6407 0.1353 0.8395
Ti: 0.1401 0.6384 0.3331
Ti: 0.8647 0.3593 0.1605
Ti: 0.3616 0.8599 0.6669
P: 0.4716 0.5284 0.5000
P: 0.9667 0.7426 0.0022
P: 0.2574 0.0333 0.9978
P: 0.7563 0.9625 0.4993
P: 0.0375 0.2437 0.5007
P: 0.5342 0.4658 0.0000
O: 0.0004 0.2987 0.3220
O: 0.8719 0.1955 0.6817
O: 0.8045 0.1281 0.3183
O: 0.5023 0.3634 0.6800
O: 0.4561 0.7163 0.4976
O: 0.6366 0.4977 0.3200
O: 0.7013 0.9996 0.6780
O: 0.4235 0.0484 0.0036
O: 0.2837 0.5439 0.5024
O: 0.7768 0.9073 0.0081
O: 0.9516 0.5765 0.9964
O: 0.0927 0.2232 0.9919
O: 0.9253 0.7779 0.4928
O: 0.0664 0.4055 0.5055
O: 0.2221 0.0747 0.5072
O: 0.7197 0.4428 0.0061
O: 0.5945 0.9336 0.4945
O: 0.3063 0.0172 0.8058
O: 0.3651 0.5025 0.1769
O: 0.5572 0.2803 0.9939
O: 0.4975 0.6349 0.8231
O: 0.2022 0.8665 0.1685
O: 0.1335 0.7978 0.8315
O: 0.9828 0.6937 0.1942

Results
Total magnetization, μB/cell: 0.00
Volume, Å³/atom: 12.80
Energy with MP2020 corrections, eV for the cell shown: -294.94
Distance to the lowest polymorph of the same formula, eV per atom: 0.0099
Space-group type: C2, No. 5
Electronic total energy, eV per atom: -7.73


The following is a DFT calculation (GGA-PBE) of LiTiP2O7 after structural relaxation.

Lattice parameters (Å, degrees): 8.0106 7.2939 9.6841 69.44 90.00 90.00
Fractional positions:
Li: 0.9781 0.7032 0.7850
Li: 0.5219 0.7032 0.2850
Li: 0.4781 0.2968 0.7150
Li: 0.0219 0.2968 0.2150
Ti: 0.5064 0.7388 0.7476
Ti: 0.9936 0.7388 0.2476
Ti: 0.0064 0.2612 0.7524
Ti: 0.4936 0.2612 0.2524
P: 0.7586 0.9184 0.9560
P: 0.7414 0.9184 0.4560
P: 0.2119 0.6695 0.5484
P: 0.7119 0.3305 0.9516
P: 0.2881 0.6695 0.0484
P: 0.7881 0.3305 0.4516
P: 0.2586 0.0816 0.5440
P: 0.2414 0.0816 0.0440
O: 0.9197 0.9677 0.8633
O: 0.6329 0.8081 0.8987
O: 0.5803 0.9677 0.3633
O: 0.1648 0.8772 0.5650
O: 0.3000 0.6886 0.8864
O: 0.7144 0.8134 0.6220
O: 0.8671 0.8081 0.3987
O: 0.3911 0.6147 0.6058
O: 0.3352 0.8772 0.0650
O: 0.5793 0.4562 0.8461
O: 0.2000 0.6886 0.3864
O: 0.7856 0.8134 0.1220
O: 0.0793 0.5438 0.6539
O: 0.8911 0.3853 0.8942
O: 0.1089 0.6147 0.1058
O: 0.9207 0.4562 0.3461
O: 0.2144 0.1866 0.8780
O: 0.8000 0.3114 0.6136
O: 0.4207 0.5438 0.1539
O: 0.6648 0.1228 0.9350
O: 0.6089 0.3853 0.3942
O: 0.1329 0.1919 0.6013
O: 0.2856 0.1866 0.3780
O: 0.7000 0.3114 0.1136
O: 0.8352 0.1228 0.4350
O: 0.4197 0.0323 0.6367
O: 0.3671 0.1919 0.1013
O: 0.0803 0.0323 0.1367

Results
Total magnetization, μB/cell: 4.00
Volume, Å³/atom: 12.04
Energy with MP2020 corrections, eV for the cell shown: -345.43
Distance to the lowest polymorph of the same formula, eV per atom: 0.0367
Space-group type: P2_1/c, No. 14
Electronic total energy, eV per atom: -7.41


Which of these has the highest volume? number 3


volume of number 1 (LiTi2P3O12)? 12.58 Å³/atom


Look up the volume of the fourth one. 12.04 Å³/atom


Repeat the first record exactly.
The following is a DFT calculation (GGA-PBE) of LiTi2P3O12 after structural relaxation.

Lattice parameters (Å, degrees): 8.6447 8.7035 12.0337 90.00 90.00 90.00
Fractional positions:
Li: 0.0384 0.9715 0.6796
Li: 0.0384 0.0285 0.3204
Li: 0.9616 0.4715 0.8204
Li: 0.9616 0.5285 0.1796
Ti: 0.4997 0.7151 0.1202
Ti: 0.4997 0.2849 0.8798
Ti: 0.5003 0.7849 0.6202
Ti: 0.5003 0.2151 0.3798
Ti: 0.9972 0.2889 0.6116
Ti: 0.9972 0.7111 0.3884
Ti: 0.0028 0.7889 0.8884
Ti: 0.0028 0.2111 0.1116
P: 0.7085 0.5000 0.5000
P: 0.2915 0.0000 0.0000
P: 0.2144 0.5000 0.0000
P: 0.7856 0.0000 0.5000
P: 0.6432 0.6418 0.8548
P: 0.6432 0.3582 0.1452
P: 0.3568 0.1418 0.6452
P: 0.3568 0.8582 0.3548
P: 0.1467 0.6421 0.6480
P: 0.1467 0.3579 0.3520
P: 0.8533 0.1421 0.8520
P: 0.8533 0.8579 0.1480
O: 0.6902 0.8943 0.5737
O: 0.6902 0.1057 0.4263
O: 0.6780 0.1520 0.8452
O: 0.6780 0.8480 0.1548
O: 0.6089 0.5990 0.5757
O: 0.6089 0.4010 0.4243
O: 0.5979 0.4736 0.8286
O: 0.5979 0.5264 0.1714
O: 0.5885 0.6862 0.9717
O: 0.5885 0.3138 0.0283
O: 0.5746 0.7547 0.7693
O: 0.5746 0.2453 0.2307
O: 0.4254 0.2547 0.7307
O: 0.4254 0.7453 0.2693
O: 0.4115 0.1862 0.5283
O: 0.4115 0.8138 0.4717
O: 0.4021 0.0264 0.3286
O: 0.4021 0.9736 0.6714
O: 0.3911 0.0990 0.9243
O: 0.3911 0.9010 0.0757
O: 0.3220 0.6520 0.6548
O: 0.3220 0.3480 0.3452
O: 0.3098 0.3943 0.9263
O: 0.3098 0.6057 0.0737
O: 0.1842 0.1030 0.0730
O: 0.1842 0.8970 0.9270
O: 0.1763 0.1508 0.6534
O: 0.1763 0.8492 0.3466
O: 0.1016 0.5913 0.9222
O: 0.1016 0.4087 0.0778
O: 0.0893 0.4790 0.6797
O: 0.0893 0.5210 0.3203
O: 0.0884 0.6821 0.5291
O: 0.0884 0.3179 0.4709
O: 0.0722 0.7615 0.7276
O: 0.0722 0.2385 0.2724
O: 0.9278 0.2615 0.7724
O: 0.9278 0.7385 0.2276
O: 0.9116 0.1821 0.9709
O: 0.9116 0.8179 0.0291
O: 0.9107 0.9790 0.8203
O: 0.9107 0.0210 0.1797
O: 0.8984 0.0913 0.5778
O: 0.8984 0.9087 0.4222
O: 0.8237 0.6508 0.8466
O: 0.8237 0.3492 0.1534
O: 0.8158 0.3970 0.5730
O: 0.8158 0.6030 0.4270

Results
Total magnetization, μB/cell: 0.00
Volume, Å³/atom: 12.58
Energy with MP2020 corrections, eV for the cell shown: -590.01
Distance to the lowest polymorph of the same formula, eV per atom: 0.0082
Space-group type: P2_12_12, No. 18
Electronic total energy, eV per atom: -7.74